1.
Computed, not measured: crystalline V2Ni2O7 at its relaxed geometry at the meta-GGA r2SCAN level of DFT.

formation enthalpy at 0 K	-2.07	eV/atom

a = 6.506 Å, b = 8.249 Å, c = 9.322 Å
α = 90.00°, β = 99.80°, γ = 90.00°
Sites, in units of the cell vectors:
V (0.136, 0.239, 0.469)
V (0.136, 0.261, 0.969)
V (0.305, 0.519, 0.688)
V (0.305, 0.981, 0.188)
V (0.695, 0.019, 0.812)
V (0.695, 0.481, 0.312)
V (0.864, 0.739, 0.031)
V (0.864, 0.761, 0.531)
Ni (0.197, 0.613, 0.321)
Ni (0.197, 0.887, 0.821)
Ni (0.354, 0.622, 0.037)
Ni (0.354, 0.878, 0.537)
Ni (0.646, 0.122, 0.463)
Ni (0.646, 0.378, 0.963)
Ni (0.803, 0.113, 0.179)
Ni (0.803, 0.387, 0.679)
O (0.076, 0.623, 0.107)
O (0.076, 0.877, 0.607)
O (0.101, 0.132, 0.126)
O (0.101, 0.368, 0.626)
O (0.178, 0.123, 0.848)
O (0.178, 0.377, 0.348)
O (0.244, 0.644, 0.822)
O (0.244, 0.856, 0.322)
O (0.330, 0.632, 0.539)
O (0.330, 0.868, 0.039)
O (0.355, 0.119, 0.506)
O (0.355, 0.381, 0.006)
O (0.469, 0.585, 0.251)
O (0.469, 0.915, 0.751)
O (0.531, 0.085, 0.249)
O (0.531, 0.415, 0.749)
O (0.645, 0.619, 0.994)
O (0.645, 0.881, 0.494)
O (0.670, 0.132, 0.961)
O (0.670, 0.368, 0.461)
O (0.756, 0.144, 0.678)
O (0.756, 0.356, 0.178)
O (0.822, 0.623, 0.652)
O (0.822, 0.877, 0.152)
O (0.899, 0.632, 0.374)
O (0.899, 0.868, 0.874)
O (0.924, 0.123, 0.393)
O (0.924, 0.377, 0.893)

2.
Computed, not measured: crystalline GaMo2C at its relaxed geometry at the meta-GGA r2SCAN level of DFT.

formation enthalpy at 0 K	-0.13	eV/atom

a = 3.048 Å, b = 3.048 Å, c = 13.149 Å
α = 90.00°, β = 90.00°, γ = 120.00°
Sites, in units of the cell vectors:
Ga (0.333, 0.667, 0.250)
Ga (0.667, 0.333, 0.750)
Mo (0.333, 0.667, 0.589)
Mo (0.333, 0.667, 0.911)
Mo (0.667, 0.333, 0.089)
Mo (0.667, 0.333, 0.411)
C (0.000, 0.000, 0.000)
C (0.000, 0.000, 0.500)

3.
Computed, not measured: crystalline BaSb2 at its relaxed geometry at the meta-GGA r2SCAN level of DFT.

formation enthalpy at 0 K	-0.84	eV/atom

a = 5.227 Å, b = 4.439 Å, c = 9.642 Å
α = 90.00°, β = 101.17°, γ = 90.00°
Sites, in units of the cell vectors:
Ba (0.084, 0.250, 0.217)
Ba (0.916, 0.750, 0.783)
Sb (0.332, 0.750, 0.522)
Sb (0.458, 0.250, 0.899)
Sb (0.542, 0.750, 0.101)
Sb (0.668, 0.250, 0.478)

4.
Computed, not measured: crystalline Mg2As2O7 at its relaxed geometry at the meta-GGA r2SCAN level of DFT.

formation enthalpy at 0 K	-2.06	eV/atom

a = 5.379 Å, b = 5.379 Å, c = 4.783 Å
α = 97.86°, β = 97.86°, γ = 105.27°
Sites, in units of the cell vectors:
Mg (0.189, 0.811, 0.000)
Mg (0.811, 0.189, 0.000)
As (0.264, 0.264, 0.599)
As (0.736, 0.736, 0.401)
O (0.096, 0.096, 0.274)
O (0.101, 0.430, 0.791)
O (0.430, 0.101, 0.791)
O (0.500, 0.500, 0.500)
O (0.570, 0.899, 0.209)
O (0.899, 0.570, 0.209)
O (0.904, 0.904, 0.726)

5.
Computed, not measured: crystalline Gd2ReC2 at its relaxed geometry at the meta-GGA r2SCAN level of DFT.

formation enthalpy at 0 K	-0.46	eV/atom

a = 6.600 Å, b = 5.193 Å, c = 9.990 Å
α = 90.00°, β = 90.00°, γ = 90.00°
Sites, in units of the cell vectors:
Gd (0.031, 0.250, 0.215)
Gd (0.183, 0.250, 0.554)
Gd (0.317, 0.750, 0.054)
Gd (0.469, 0.750, 0.715)
Gd (0.531, 0.250, 0.285)
Gd (0.683, 0.250, 0.946)
Gd (0.817, 0.750, 0.446)
Gd (0.969, 0.750, 0.785)
Re (0.224, 0.250, 0.862)
Re (0.276, 0.750, 0.362)
Re (0.724, 0.250, 0.638)
Re (0.776, 0.750, 0.138)
C (0.042, 0.750, 0.241)
C (0.182, 0.750, 0.544)
C (0.318, 0.250, 0.044)
C (0.458, 0.250, 0.741)
C (0.542, 0.750, 0.259)
C (0.682, 0.750, 0.956)
C (0.818, 0.250, 0.456)
C (0.958, 0.250, 0.759)

6.
Computed, not measured: crystalline Ba4Ru3O10 at its relaxed geometry at the meta-GGA r2SCAN level of DFT.

formation enthalpy at 0 K	-2.13	eV/atom

a = 7.267 Å, b = 13.107 Å, c = 5.823 Å
α = 90.00°, β = 113.53°, γ = 90.00°
Sites, in units of the cell vectors:
Ba (0.019, 0.112, 0.260)
Ba (0.019, 0.388, 0.760)
Ba (0.430, 0.138, 0.966)
Ba (0.430, 0.362, 0.466)
Ba (0.570, 0.638, 0.534)
Ba (0.570, 0.862, 0.034)
Ba (0.981, 0.612, 0.240)
Ba (0.981, 0.888, 0.740)
Ru (0.253, 0.648, 0.875)
Ru (0.253, 0.852, 0.375)
Ru (0.500, 0.000, 0.500)
Ru (0.500, 0.500, 0.000)
Ru (0.747, 0.148, 0.625)
Ru (0.747, 0.352, 0.125)
O (0.033, 0.147, 0.767)
O (0.033, 0.353, 0.267)
O (0.259, 0.748, 0.624)
O (0.259, 0.752, 0.124)
O (0.280, 0.534, 0.659)
O (0.280, 0.536, 0.121)
O (0.280, 0.964, 0.621)
O (0.280, 0.966, 0.159)
O (0.432, 0.152, 0.469)
O (0.432, 0.348, 0.969)
O (0.568, 0.652, 0.031)
O (0.568, 0.848, 0.531)
O (0.720, 0.034, 0.841)
O (0.720, 0.036, 0.379)
O (0.720, 0.464, 0.879)
O (0.720, 0.466, 0.341)
O (0.741, 0.248, 0.876)
O (0.741, 0.252, 0.376)
O (0.967, 0.647, 0.733)
O (0.967, 0.853, 0.233)

7.
Computed, not measured: crystalline La5TlTe8 at its relaxed geometry at the meta-GGA r2SCAN level of DFT.

formation enthalpy at 0 K	-1.73	eV/atom

a = 8.479 Å, b = 8.479 Å, c = 8.479 Å
α = 109.27°, β = 109.27°, γ = 109.88°
Sites, in units of the cell vectors:
La (0.000, 0.000, 0.000)
La (0.249, 0.626, 0.116)
La (0.374, 0.490, 0.623)
La (0.510, 0.132, 0.884)
La (0.868, 0.751, 0.377)
Tl (0.750, 0.250, 0.500)
Te (0.132, 0.223, 0.755)
Te (0.135, 0.740, 0.754)
Te (0.260, 0.014, 0.395)
Te (0.467, 0.377, 0.245)
Te (0.620, 0.865, 0.605)
Te (0.623, 0.868, 0.091)
Te (0.777, 0.533, 0.909)
Te (0.986, 0.380, 0.246)

8.
Computed, not measured: crystalline KYb3F10 at its relaxed geometry at the meta-GGA r2SCAN level of DFT.

formation enthalpy at 0 K	-4.35	eV/atom

a = 7.961 Å, b = 7.961 Å, c = 7.961 Å
α = 60.00°, β = 60.00°, γ = 60.00°
Sites, in units of the cell vectors:
K (0.250, 0.250, 0.250)
K (0.750, 0.750, 0.750)
Yb (0.240, 0.240, 0.760)
Yb (0.240, 0.760, 0.240)
Yb (0.240, 0.760, 0.760)
Yb (0.760, 0.240, 0.240)
Yb (0.760, 0.240, 0.760)
Yb (0.760, 0.760, 0.240)
F (0.112, 0.112, 0.112)
F (0.112, 0.112, 0.665)
F (0.112, 0.665, 0.112)
F (0.169, 0.500, 0.500)
F (0.169, 0.500, 0.831)
F (0.169, 0.831, 0.500)
F (0.335, 0.888, 0.888)
F (0.500, 0.169, 0.500)
F (0.500, 0.169, 0.831)
F (0.500, 0.500, 0.169)
F (0.500, 0.500, 0.831)
F (0.500, 0.831, 0.169)
F (0.500, 0.831, 0.500)
F (0.665, 0.112, 0.112)
F (0.831, 0.169, 0.500)
F (0.831, 0.500, 0.169)
F (0.831, 0.500, 0.500)
F (0.888, 0.335, 0.888)
F (0.888, 0.888, 0.335)
F (0.888, 0.888, 0.888)

9.
Computed, not measured: crystalline GaBr2 at its relaxed geometry at the meta-GGA r2SCAN level of DFT.

formation enthalpy at 0 K	-0.85	eV/atom

a = 7.615 Å, b = 10.050 Å, c = 10.222 Å
α = 90.00°, β = 90.00°, γ = 90.00°
Sites, in units of the cell vectors:
Ga (0.129, 0.250, 0.250)
Ga (0.250, 0.000, 0.682)
Ga (0.250, 0.500, 0.818)
Ga (0.371, 0.750, 0.250)
Ga (0.629, 0.250, 0.750)
Ga (0.750, 0.000, 0.318)
Ga (0.750, 0.500, 0.182)
Ga (0.871, 0.750, 0.750)
Br (0.003, 0.042, 0.812)
Br (0.003, 0.458, 0.688)
Br (0.168, 0.684, 0.947)
Br (0.168, 0.816, 0.553)
Br (0.332, 0.184, 0.553)
Br (0.332, 0.316, 0.947)
Br (0.497, 0.542, 0.688)
Br (0.497, 0.958, 0.812)
Br (0.503, 0.042, 0.188)
Br (0.503, 0.458, 0.312)
Br (0.668, 0.684, 0.053)
Br (0.668, 0.816, 0.447)
Br (0.832, 0.184, 0.447)
Br (0.832, 0.316, 0.053)
Br (0.997, 0.542, 0.312)
Br (0.997, 0.958, 0.188)

10.
Computed, not measured: crystalline Li4ZrF8 at its relaxed geometry at the meta-GGA r2SCAN level of DFT.

formation enthalpy at 0 K	-3.55	eV/atom

a = 9.487 Å, b = 9.540 Å, c = 5.609 Å
α = 90.00°, β = 90.00°, γ = 90.00°
Sites, in units of the cell vectors:
Li (0.102, 0.082, 0.130)
Li (0.102, 0.418, 0.130)
Li (0.130, 0.059, 0.618)
Li (0.130, 0.441, 0.618)
Li (0.370, 0.559, 0.118)
Li (0.370, 0.941, 0.118)
Li (0.398, 0.582, 0.630)
Li (0.398, 0.918, 0.630)
Li (0.602, 0.082, 0.370)
Li (0.602, 0.418, 0.370)
Li (0.630, 0.059, 0.882)
Li (0.630, 0.441, 0.882)
Li (0.870, 0.559, 0.382)
Li (0.870, 0.941, 0.382)
Li (0.898, 0.582, 0.870)
Li (0.898, 0.918, 0.870)
Zr (0.135, 0.750, 0.370)
Zr (0.365, 0.250, 0.870)
Zr (0.635, 0.750, 0.130)
Zr (0.865, 0.250, 0.630)
F (0.019, 0.616, 0.144)
F (0.019, 0.884, 0.144)
F (0.022, 0.620, 0.605)
F (0.022, 0.880, 0.605)
F (0.210, 0.250, 0.122)
F (0.211, 0.250, 0.618)
F (0.235, 0.536, 0.372)
F (0.235, 0.964, 0.372)
F (0.265, 0.036, 0.872)
F (0.265, 0.464, 0.872)
F (0.289, 0.750, 0.118)
F (0.290, 0.750, 0.622)
F (0.478, 0.120, 0.105)
F (0.478, 0.380, 0.105)
F (0.481, 0.116, 0.644)
F (0.481, 0.384, 0.644)
F (0.519, 0.616, 0.356)
F (0.519, 0.884, 0.356)
F (0.522, 0.620, 0.895)
F (0.522, 0.880, 0.895)
F (0.710, 0.250, 0.378)
F (0.711, 0.250, 0.882)
F (0.735, 0.536, 0.128)
F (0.735, 0.964, 0.128)
F (0.765, 0.036, 0.628)
F (0.765, 0.464, 0.628)
F (0.789, 0.750, 0.382)
F (0.790, 0.750, 0.878)
F (0.978, 0.120, 0.395)
F (0.978, 0.380, 0.395)
F (0.981, 0.116, 0.856)
F (0.981, 0.384, 0.856)

11.
Computed, not measured: crystalline TiMo2W at its relaxed geometry at the meta-GGA r2SCAN level of DFT.

formation enthalpy at 0 K	-0.11	eV/atom

a = 4.459 Å, b = 4.459 Å, c = 4.459 Å
α = 60.00°, β = 60.00°, γ = 60.00°
Sites, in units of the cell vectors:
Ti (0.000, 0.000, 0.000)
Mo (0.250, 0.250, 0.250)
Mo (0.750, 0.750, 0.750)
W (0.500, 0.500, 0.500)

12.
Computed, not measured: crystalline YbScO2 at its relaxed geometry at the meta-GGA r2SCAN level of DFT.

formation enthalpy at 0 K	-3.13	eV/atom

a = 3.231 Å, b = 3.231 Å, c = 10.697 Å
α = 90.00°, β = 90.00°, γ = 120.00°
Sites, in units of the cell vectors:
Yb (0.333, 0.667, 0.250)
Yb (0.667, 0.333, 0.750)
Sc (0.000, 0.000, 0.000)
Sc (0.000, 0.000, 0.500)
O (0.333, 0.667, 0.611)
O (0.333, 0.667, 0.889)
O (0.667, 0.333, 0.111)
O (0.667, 0.333, 0.389)

What did the first record say?
Computed, not measured: crystalline V2Ni2O7 at its relaxed geometry at the meta-GGA r2SCAN level of DFT.

formation enthalpy at 0 K	-2.07	eV/atom

a = 6.506 Å, b = 8.249 Å, c = 9.322 Å
α = 90.00°, β = 99.80°, γ = 90.00°
Sites, in units of the cell vectors:
V (0.136, 0.239, 0.469)
V (0.136, 0.261, 0.969)
V (0.305, 0.519, 0.688)
V (0.305, 0.981, 0.188)
V (0.695, 0.019, 0.812)
V (0.695, 0.481, 0.312)
V (0.864, 0.739, 0.031)
V (0.864, 0.761, 0.531)
Ni (0.197, 0.613, 0.321)
Ni (0.197, 0.887, 0.821)
Ni (0.354, 0.622, 0.037)
Ni (0.354, 0.878, 0.537)
Ni (0.646, 0.122, 0.463)
Ni (0.646, 0.378, 0.963)
Ni (0.803, 0.113, 0.179)
Ni (0.803, 0.387, 0.679)
O (0.076, 0.623, 0.107)
O (0.076, 0.877, 0.607)
O (0.101, 0.132, 0.126)
O (0.101, 0.368, 0.626)
O (0.178, 0.123, 0.848)
O (0.178, 0.377, 0.348)
O (0.244, 0.644, 0.822)
O (0.244, 0.856, 0.322)
O (0.330, 0.632, 0.539)
O (0.330, 0.868, 0.039)
O (0.355, 0.119, 0.506)
O (0.355, 0.381, 0.006)
O (0.469, 0.585, 0.251)
O (0.469, 0.915, 0.751)
O (0.531, 0.085, 0.249)
O (0.531, 0.415, 0.749)
O (0.645, 0.619, 0.994)
O (0.645, 0.881, 0.494)
O (0.670, 0.132, 0.961)
O (0.670, 0.368, 0.461)
O (0.756, 0.144, 0.678)
O (0.756, 0.356, 0.178)
O (0.822, 0.623, 0.652)
O (0.822, 0.877, 0.152)
O (0.899, 0.632, 0.374)
O (0.899, 0.868, 0.874)
O (0.924, 0.123, 0.393)
O (0.924, 0.377, 0.893)

Among the records above, which one has the highest formation enthalpy at 0 K?
TiMo2W